Entry from Materials Project: a relaxed Hf2TaN3 crystal (PBE).

Properties
calculated formation energy: -1233.1 meV/atom

a b c (Å): 5.349 5.349 3.033
angles (deg): 90.00 90.00 120.00
Atoms (fractional coordinates):
1 Hf 0.333 0.667 0.500
2 Hf 0.667 0.333 0.500
3 Ta 0.000 0.000 0.000
4 N 0.000 0.500 0.000
5 N 0.500 0.000 0.000
6 N 0.500 0.500 0.000